1.
# Li23Ni17O40

An optimized crystal structure of Li23Ni17O40 (PBE+U, the Materials Project database). Values from VASP.

Geometry as Quantum ESPRESSO input:
```
&SYSTEM
  ibrav = 0, nat = 80, ntyp = 3
/
ATOMIC_SPECIES
O 16.00 O.upf
Li 6.94 Li.upf
Ni 58.69 Ni.upf
CELL_PARAMETERS angstrom
2.426 0.003 4.350
3.024 18.773 46.440
-0.099 -0.016 14.508
ATOMIC_POSITIONS angstrom
O 2.579 12.447 41.084
O 3.120 9.039 38.465
O 3.455 17.227 45.387
O 2.149 2.619 14.942
O 1.622 5.971 17.543
O 3.084 16.228 50.316
O 3.665 12.065 38.162
O 4.355 16.683 57.089
O 3.118 15.259 40.714
O 2.214 9.604 26.772
O 2.871 13.340 36.055
O 0.700 1.181 13.197
O 1.988 8.573 31.780
O 3.686 12.915 47.819
O 3.439 11.033 43.169
O 1.929 0.684 10.305
O 3.982 13.821 42.791
O 2.761 6.435 24.231
O 3.504 18.019 54.999
O 1.113 2.959 17.820
O 2.535 5.379 29.228
O 1.298 3.955 12.852
O 4.540 17.679 52.121
O 2.782 7.298 33.887
O 3.489 10.047 33.556
O 2.892 14.203 45.710
O 1.999 1.583 19.902
O 2.533 11.599 31.476
O 4.400 15.683 47.481
O 4.661 18.480 61.787
O 2.198 3.411 24.555
O 1.967 7.723 22.123
O 2.164 10.591 36.386
O 3.074 8.191 28.858
O 2.569 4.410 19.626
O 4.031 14.666 52.398
O 1.671 6.816 27.151
O 0.630 0.282 3.600
O 1.253 4.955 22.461
O 0.992 2.158 8.154
Li 3.666 15.494 44.156
Li 1.672 3.323 21.186
Li 2.262 7.027 30.507
Li 3.070 11.689 34.834
Li 4.945 15.946 51.078
Li 3.981 17.314 48.755
Li 1.576 2.363 11.595
Li 2.483 7.982 25.505
Li 3.488 14.579 49.043
Li 1.987 5.144 25.786
Li 2.892 10.768 39.720
Li 0.708 4.691 18.864
Li 3.805 16.399 53.659
Li 1.364 1.400 16.554
Li 2.165 6.059 20.898
Li 2.761 9.869 30.221
Li 4.077 18.275 58.347
Li 3.391 13.611 39.435
Li 1.614 10.317 32.796
Li 3.170 12.656 44.437
Li 1.848 4.239 16.282
Li 2.583 8.948 35.108
Li 1.265 0.464 6.948
Ni 3.837 9.378 42.049
Ni 2.326 15.005 51.629
Ni 5.245 17.821 55.721
Ni 2.729 16.899 41.820
Ni 2.623 1.868 23.487
Ni 4.542 13.142 36.858
Ni 0.102 0.931 9.576
Ni 4.636 14.076 46.449
Ni 1.017 6.561 23.493
Ni 2.924 3.739 28.121
Ni 1.923 12.187 37.426
Ni 3.030 18.769 46.455
Ni 1.816 11.259 27.893
Ni 3.327 5.633 18.312
Ni 0.408 2.816 14.221
Ni 3.730 8.451 32.516
Ni 1.111 7.496 33.084
```

Output
total DFT energy (no corrections): -4.883 eV per atom
calculated formation energy: -1515.5 meV/atom
M_tot: 11.00 μB per formula unit
space-group type: P-1 (2)

***

2.
# Li10Ni4O9

An optimized crystal structure of Li10Ni4O9 (PBE+U, the Materials Project database). Values from VASP.

Geometry as Quantum ESPRESSO input:
```
&SYSTEM
  ibrav = 0, nat = 46, ntyp = 3
/
ATOMIC_SPECIES
O 16.00 O.upf
Li 6.94 Li.upf
Ni 58.69 Ni.upf
CELL_PARAMETERS angstrom
-0.088 -7.455 6.380
9.713 0.839 1.115
-0.664 3.017 3.516
ATOMIC_POSITIONS angstrom
O 3.497 0.493 4.397
O 2.281 -2.326 3.471
O 6.652 -3.628 9.556
O 5.425 0.669 2.008
O 8.769 -1.629 4.612
O 0.161 -4.560 8.616
O 0.428 0.228 4.045
O 8.800 0.961 2.396
O 6.765 1.029 5.068
O 3.567 -1.678 6.786
O 5.394 -1.921 4.225
O 0.192 -1.969 6.399
O 2.196 -4.627 5.943
O 8.532 -3.826 6.966
O 3.536 -4.268 9.003
O 5.464 -4.091 6.614
O 2.309 0.029 1.455
O 6.680 -1.273 7.541
Li 5.383 -3.911 4.648
Li 3.603 2.462 4.524
Li 2.137 -0.431 3.299
Li -0.060 -0.002 5.946
Li 0.719 0.997 2.121
Li 7.156 -4.676 5.954
Li 8.274 -1.803 6.501
Li 9.021 -3.597 5.065
Li 5.473 -2.045 6.179
Li 3.487 -1.553 4.832
Li 8.241 -4.595 8.890
Li -0.035 2.148 4.106
Li 6.824 -3.168 7.712
Li 5.440 -4.837 8.569
Li 3.521 1.239 2.443
Li 5.358 -6.061 6.488
Li 1.805 1.078 5.057
Li 8.996 -5.747 6.905
Li 3.577 0.312 6.364
Li 0.686 -1.796 4.511
Ni 5.383 0.067 3.926
Ni 3.578 -3.666 7.085
Ni 7.233 -2.362 3.542
Ni 7.261 0.038 1.488
Ni 8.510 0.337 4.285
Ni 1.700 -3.636 9.523
Ni 1.728 -1.236 7.469
Ni 0.451 -3.936 6.726
```

Output
total DFT energy (no corrections): -4.727 eV per atom
calculated formation energy: -1666.7 meV/atom
M_tot: 8.00 μB per formula unit
space-group type: P4_2/nmc (137)

***

- Which formula does entry 2 have?
  Li10Ni4O9